No. 1
First-principles (PBE with a Hubbard U) data for a geometry-optimized Li7Mn2Co3O12 structure, as listed in the Materials Project.

The structure in POSCAR format:
```
Li7Mn2Co3O12
1.0
5.006 0.000 0.000
2.333 4.432 0.000
0.564 1.800 9.652
Li Mn Co O
7 2 3 12
Direct
0.000 0.000 0.000
0.001 0.249 0.247
0.002 0.754 0.753
0.328 0.584 0.244
0.331 0.087 0.753
0.669 0.408 0.757
0.673 0.924 0.247
0.334 0.834 0.499
0.667 0.673 0.000
0.000 0.501 0.500
0.328 0.337 0.000
0.668 0.167 0.501
0.004 0.603 0.113
0.017 0.854 0.383
0.312 0.480 0.613
0.355 0.189 0.386
0.358 0.686 0.885
0.369 0.950 0.111
0.643 0.040 0.887
0.645 0.320 0.113
0.652 0.817 0.614
0.692 0.514 0.387
0.978 0.152 0.616
0.992 0.404 0.890
```

**Magnetization**: 0.33 μB/atom
**Electronic total energy**: -5.871 eV per atom
**Crystal system**: triclinic
**Space group**: P1 (1)
**Calculated volume**: 214 Å³/f.u.

No. 2
First-principles (PBE with a Hubbard U) data for a geometry-optimized Li6Mn3CoO10 structure, as listed in the Materials Project.

The structure in POSCAR format:
```
Li6Mn3CoO10
1.0
2.991 0.000 0.000
-0.423 6.005 0.000
-1.228 -1.422 10.184
Li Mn Co O
6 3 1 10
Direct
0.000 0.000 0.000
0.015 0.477 0.001
0.203 0.085 0.389
0.413 0.696 0.803
0.600 0.276 0.184
0.804 0.890 0.594
0.202 0.590 0.391
0.415 0.181 0.803
0.814 0.383 0.593
0.593 0.796 0.183
0.075 0.016 0.194
0.134 0.552 0.200
0.271 0.630 0.589
0.349 0.146 0.604
0.495 0.235 0.981
0.518 0.739 0.013
0.668 0.827 0.378
0.741 0.348 0.401
0.886 0.968 0.796
0.931 0.406 0.789
```

**Magnetization**: 0.70 μB/atom
**Electronic total energy**: -6.091 eV per atom
**Crystal system**: triclinic
**Space group**: P1 (1)
**Calculated volume**: 183 Å³/f.u.

No. 3
First-principles (PBE with a Hubbard U) data for a geometry-optimized Li4MnCo2O7 structure, as listed in the Materials Project.

The structure in POSCAR format:
```
Li4MnCo2O7
1.0
4.973 0.000 0.000
-0.937 4.991 0.000
-1.089 -2.256 10.092
Li Mn Co O
8 2 4 14
Direct
0.000 0.000 0.000
0.003 0.999 0.500
0.154 0.281 0.795
0.286 0.561 0.072
0.427 0.863 0.350
0.580 0.141 0.649
0.720 0.428 0.931
0.851 0.720 0.209
0.293 0.571 0.575
0.865 0.718 0.721
0.141 0.281 0.283
0.438 0.861 0.866
0.574 0.142 0.136
0.719 0.420 0.425
0.062 0.612 0.386
0.075 0.657 0.874
0.200 0.905 0.672
0.243 0.965 0.185
0.370 0.190 0.962
0.380 0.234 0.472
0.489 0.470 0.252
0.527 0.527 0.762
0.627 0.810 0.043
0.654 0.768 0.554
0.774 0.041 0.815
0.807 0.078 0.319
0.897 0.343 0.112
0.940 0.381 0.608
```

**Magnetization**: 0.64 μB/atom
**Electronic total energy**: -5.803 eV per atom
**Crystal system**: triclinic
**Space group**: P1 (1)
**Calculated volume**: 125 Å³/f.u.

No. 4
First-principles (PBE with a Hubbard U) data for a geometry-optimized Li2MnCoO4 structure, as listed in the Materials Project.

The structure in POSCAR format:
```
Li2MnCoO4
1.0
2.665 -1.453 0.000
2.665 1.453 0.000
-1.173 0.000 9.750
Li Mn Co O
2 1 1 4
Direct
0.249 0.249 0.247
0.751 0.751 0.753
0.000 0.000 0.500
0.500 0.500 0.000
0.128 0.128 0.887
0.396 0.396 0.616
0.604 0.604 0.384
0.872 0.872 0.113
```

**Magnetization**: 0.99 μB/atom
**Electronic total energy**: -6.100 eV per atom
**Crystal system**: monoclinic
**Space group**: C2/m (12)
**Calculated volume**: 76 Å³/f.u.

No. 5
First-principles (PBE with a Hubbard U) data for a geometry-optimized Li3Mn3CoO8 structure, as listed in the Materials Project.

The structure in POSCAR format:
```
Li3Mn3CoO8
1.0
2.932 1.693 4.895
-2.932 1.693 4.895
0.000 -3.386 4.895
Li Mn Co O
3 3 1 8
Direct
0.000 0.500 0.500
0.500 0.000 0.500
0.500 0.500 0.000
0.000 0.000 0.500
0.000 0.500 0.000
0.500 0.000 0.000
0.500 0.500 0.500
0.242 0.732 0.732
0.250 0.250 0.250
0.268 0.268 0.758
0.268 0.758 0.268
0.732 0.242 0.732
0.732 0.732 0.242
0.750 0.750 0.750
0.758 0.268 0.268
```

**Magnetization**: 0.73 μB/atom
**Electronic total energy**: -6.462 eV per atom
**Crystal system**: trigonal
**Space group**: R-3m (166)
**Calculated volume**: 146 Å³/f.u.

No. 6
First-principles (PBE with a Hubbard U) data for a geometry-optimized Li4MnCo2O7 structure, as listed in the Materials Project.

The structure in POSCAR format:
```
Li4MnCo2O7
1.0
2.612 -1.424 0.000
2.612 1.424 0.000
-2.547 0.000 34.348
Li Mn Co O
8 2 4 14
Direct
0.000 0.000 0.000
0.003 0.003 0.501
0.143 0.143 0.214
0.297 0.297 0.932
0.429 0.429 0.643
0.570 0.570 0.355
0.708 0.708 0.070
0.856 0.856 0.784
0.287 0.287 0.428
0.575 0.575 0.856
0.143 0.143 0.714
0.427 0.427 0.143
0.716 0.716 0.572
0.857 0.857 0.285
0.062 0.062 0.114
0.072 0.072 0.605
0.199 0.199 0.824
0.215 0.215 0.319
0.358 0.358 0.538
0.360 0.360 0.037
0.500 0.500 0.747
0.502 0.502 0.252
0.642 0.642 0.963
0.666 0.666 0.461
0.787 0.787 0.680
0.800 0.800 0.174
0.908 0.908 0.396
0.942 0.942 0.887
```

**Magnetization**: 0.87 μB/atom
**Electronic total energy**: -5.713 eV per atom
**Crystal system**: monoclinic
**Space group**: Cm (8)
**Calculated volume**: 128 Å³/f.u.

No. 7
First-principles (PBE with a Hubbard U) data for a geometry-optimized Li5Mn2CoO8 structure, as listed in the Materials Project.

The structure in POSCAR format:
```
Li5Mn2CoO8
1.0
9.622 -1.447 0.000
9.622 1.447 0.000
-0.571 0.000 5.203
Li Mn Co O
5 2 1 8
Direct
0.000 0.000 0.000
0.118 0.118 0.380
0.380 0.380 0.120
0.620 0.620 0.880
0.882 0.882 0.620
0.252 0.252 0.751
0.748 0.748 0.249
0.500 0.500 0.500
0.056 0.056 0.667
0.190 0.190 0.090
0.307 0.307 0.405
0.447 0.447 0.764
0.553 0.553 0.236
0.693 0.693 0.595
0.810 0.810 0.910
0.944 0.944 0.333
```

**Magnetization**: 0.62 μB/atom
**Electronic total energy**: -5.921 eV per atom
**Crystal system**: monoclinic
**Space group**: C2/m (12)
**Calculated volume**: 145 Å³/f.u.

No. 8
First-principles (PBE with a Hubbard U) data for a geometry-optimized Li5Mn2CoO8 structure, as listed in the Materials Project.

The structure in POSCAR format:
```
Li5Mn2CoO8
1.0
-0.345 -2.798 0.584
4.631 0.181 3.619
-9.648 3.813 12.580
Li Mn Co O
10 4 2 16
Direct
0.500 0.250 0.125
0.500 0.250 0.625
0.500 0.750 0.375
0.500 0.750 0.875
0.500 0.750 0.125
0.500 0.750 0.625
0.999 0.509 0.010
0.999 0.509 0.510
0.001 0.991 0.240
0.001 0.991 0.740
0.001 0.999 0.504
0.999 0.501 0.246
0.001 0.999 0.004
0.999 0.501 0.746
0.500 0.250 0.375
0.500 0.250 0.875
0.500 0.230 0.994
0.500 0.230 0.494
0.500 0.270 0.256
0.500 0.270 0.756
0.000 0.004 0.115
0.000 0.004 0.615
0.000 0.496 0.135
0.000 0.496 0.635
0.000 0.473 0.371
0.000 0.473 0.871
0.000 0.027 0.379
0.000 0.027 0.879
0.499 0.720 0.252
0.500 0.720 0.752
0.500 0.780 0.498
0.500 0.780 0.998
```

**Magnetization**: 0.00 μB/atom
**Electronic total energy**: -6.028 eV per atom
**Calculated volume**: 138 Å³/f.u.